The following is a DFT calculation (GGA-PBE) of Na2MgB12H16O28 after structural relaxation.

Calculated values
- symmetry = P2_1/c, No. 14
- MP2020-corrected energy (eV/atom) = -6.903
- E above lowest polymorph (eV per atom) = 0.0000
- E_form (eV/atom) = -2.204

Unit cell a=7.8354 b=7.5712 c=19.0727 alpha=90.00 beta=97.97 gamma=90.00
Sites, in units of the cell vectors:
Na 0.2098 0.1750 0.3368
Na 0.2098 0.3250 0.8368
Na 0.7902 0.6750 0.1632
Na 0.7902 0.8250 0.6632
Mg 0.5000 0.0000 0.0000
Mg 0.5000 0.5000 0.5000
B 0.0043 0.0522 0.1592
B 0.0043 0.4478 0.6592
B 0.1752 0.1554 0.0650
B 0.1752 0.3446 0.5650
B 0.2456 0.0421 0.5266
B 0.2456 0.4579 0.0266
B 0.3180 0.0974 0.1979
B 0.3180 0.4026 0.6979
B 0.4711 0.1945 0.6121
B 0.4711 0.3055 0.1121
B 0.4866 0.6558 0.7572
B 0.4866 0.8442 0.2572
B 0.5134 0.1558 0.7428
B 0.5134 0.3442 0.2428
B 0.5289 0.6945 0.8879
B 0.5289 0.8055 0.3879
B 0.6820 0.5974 0.3021
B 0.6820 0.9026 0.8021
B 0.7544 0.5421 0.9734
B 0.7544 0.9579 0.4734
B 0.8248 0.6554 0.4350
B 0.8248 0.8446 0.9350
B 0.9957 0.5522 0.3408
B 0.9957 0.9478 0.8408
H 0.0768 0.6245 0.9720
H 0.0768 0.8755 0.4720
H 0.0955 0.0219 0.6730
H 0.0955 0.4781 0.1730
H 0.1539 0.5127 0.4806
H 0.1539 0.9873 0.9806
H 0.1696 0.6647 0.1840
H 0.1696 0.8353 0.6840
H 0.2508 0.5549 0.3559
H 0.2508 0.9451 0.8559
H 0.3294 0.7334 0.9446
H 0.3294 0.7666 0.4446
H 0.4830 0.6795 0.0730
H 0.4830 0.8205 0.5730
H 0.4843 0.6530 0.6232
H 0.4843 0.8470 0.1232
H 0.5157 0.1530 0.8768
H 0.5157 0.3470 0.3768
H 0.5170 0.1795 0.4270
H 0.5170 0.3205 0.9270
H 0.6706 0.2334 0.5554
H 0.6706 0.2666 0.0554
H 0.7492 0.0549 0.1441
H 0.7492 0.4451 0.6441
H 0.8304 0.1647 0.3160
H 0.8304 0.3353 0.8160
H 0.8461 0.0127 0.0194
H 0.8461 0.4873 0.5194
H 0.9045 0.5219 0.8270
H 0.9045 0.9781 0.3270
H 0.9232 0.1245 0.5280
H 0.9232 0.3755 0.0280
O 0.0194 0.0855 0.0896
O 0.0194 0.4145 0.5896
O 0.0829 0.5968 0.1533
O 0.0829 0.9032 0.6533
O 0.1268 0.1745 0.5302
O 0.1268 0.3255 0.0302
O 0.1420 0.0595 0.2115
O 0.1420 0.4405 0.7115
O 0.1550 0.5079 0.3215
O 0.1550 0.9921 0.8215
O 0.2039 0.5999 0.9818
O 0.2039 0.9001 0.4818
O 0.2450 0.0322 0.0173
O 0.2450 0.4678 0.5173
O 0.3167 0.1901 0.1266
O 0.3167 0.3099 0.6266
O 0.3947 0.2169 0.2527
O 0.3947 0.2831 0.7527
O 0.4071 0.0488 0.5645
O 0.4071 0.4512 0.0645
O 0.4131 0.6893 0.4229
O 0.4131 0.8107 0.9229
O 0.4160 0.5675 0.6966
O 0.4160 0.9325 0.1966
O 0.4403 0.6210 0.8225
O 0.4403 0.8790 0.3225
O 0.4636 0.2022 0.9179
O 0.4636 0.2978 0.4179
O 0.5364 0.7022 0.5821
O 0.5364 0.7978 0.0821
O 0.5597 0.1210 0.6775
O 0.5597 0.3790 0.1775
O 0.5840 0.0675 0.8034
O 0.5840 0.4325 0.3034
O 0.5869 0.1893 0.0771
O 0.5869 0.3107 0.5771
O 0.5929 0.5488 0.9355
O 0.5929 0.9512 0.4355
O 0.6053 0.7169 0.2473
O 0.6053 0.7831 0.7473
O 0.6833 0.6901 0.3734
O 0.6833 0.8099 0.8734
O 0.7550 0.5322 0.4827
O 0.7550 0.9678 0.9827
O 0.7961 0.0999 0.5182
O 0.7961 0.4001 0.0182
O 0.8450 0.0079 0.1785
O 0.8450 0.4921 0.6785
O 0.8580 0.5595 0.2885
O 0.8580 0.9405 0.7885
O 0.8732 0.6745 0.9698
O 0.8732 0.8255 0.4698
O 0.9171 0.0968 0.3467
O 0.9171 0.4032 0.8467
O 0.9806 0.5855 0.4104
O 0.9806 0.9145 0.9104